(1)
# PdRhPb4 r²SCAN optimized geometry
data_PdRhPb4
_symmetry_space_group_name_H-M 'I 4 2 2'
_symmetry_Int_Tables_number 97
_symmetry_space_group_name_Hall 'I 4 2'
_cell_length_a 6.8352
_cell_length_b 6.8352
_cell_length_c 5.8863
_cell_angle_alpha 90.00
_cell_angle_beta 90.00
_cell_angle_gamma 90.00
loop_
_atom_site_label
_atom_site_type_symbol
_atom_site_fract_x
_atom_site_fract_y
_atom_site_fract_z
Pd1 Pd 0.0000 0.0000 0.0000
Rh1 Rh 0.0000 0.0000 0.5000
Pb1 Pb 0.1637 0.3363 0.7500
# **Formation enthalpy at 0 K**: -144.9 meV/atom


(2)
# Tb2Pd2Pb r²SCAN optimized geometry
data_Tb2Pd2Pb
_symmetry_space_group_name_H-M 'P 4/m b m'
_symmetry_Int_Tables_number 127
_symmetry_space_group_name_Hall '-P 4 2ab'
_cell_length_a 7.8446
_cell_length_b 7.8446
_cell_length_c 3.6559
_cell_angle_alpha 90.00
_cell_angle_beta 90.00
_cell_angle_gamma 90.00
loop_
_atom_site_label
_atom_site_type_symbol
_atom_site_fract_x
_atom_site_fract_y
_atom_site_fract_z
Tb1 Tb 0.1726 0.3274 0.0000
Pd1 Pd 0.1247 0.6247 0.5000
Pb1 Pb 0.0000 0.0000 0.5000
# **Formation enthalpy at 0 K**: -920.6 meV/atom


(3)
# TbPd2Pb r²SCAN optimized geometry
data_TbPd2Pb
_symmetry_space_group_name_H-M 'F m -3 m'
_symmetry_Int_Tables_number 225
_symmetry_space_group_name_Hall '-F 4 2 3'
_cell_length_a 6.8525
_cell_length_b 6.8525
_cell_length_c 6.8525
_cell_angle_alpha 90.00
_cell_angle_beta 90.00
_cell_angle_gamma 90.00
loop_
_atom_site_label
_atom_site_type_symbol
_atom_site_fract_x
_atom_site_fract_y
_atom_site_fract_z
Tb1 Tb 0.0000 0.0000 0.0000
Pd1 Pd 0.2500 0.2500 0.2500
Pb1 Pb 0.0000 0.0000 0.5000
# **Formation enthalpy at 0 K**: -743.0 meV/atom


(4)
# TmPd2Pb r²SCAN optimized geometry
data_TmPd2Pb
_symmetry_space_group_name_H-M 'F m -3 m'
_symmetry_Int_Tables_number 225
_symmetry_space_group_name_Hall '-F 4 2 3'
_cell_length_a 6.7839
_cell_length_b 6.7839
_cell_length_c 6.7839
_cell_angle_alpha 90.00
_cell_angle_beta 90.00
_cell_angle_gamma 90.00
loop_
_atom_site_label
_atom_site_type_symbol
_atom_site_fract_x
_atom_site_fract_y
_atom_site_fract_z
Tm1 Tm 0.0000 0.0000 0.0000
Pd1 Pd 0.2500 0.2500 0.2500
Pb1 Pb 0.0000 0.0000 0.5000
# **Formation enthalpy at 0 K**: -748.6 meV/atom


(5)
# Y2Pd2Pb r²SCAN optimized geometry
data_Y2Pd2Pb
_symmetry_space_group_name_H-M 'P 4/m b m'
_symmetry_Int_Tables_number 127
_symmetry_space_group_name_Hall '-P 4 2ab'
_cell_length_a 7.8375
_cell_length_b 7.8375
_cell_length_c 3.6595
_cell_angle_alpha 90.00
_cell_angle_beta 90.00
_cell_angle_gamma 90.00
loop_
_atom_site_label
_atom_site_type_symbol
_atom_site_fract_x
_atom_site_fract_y
_atom_site_fract_z
Y1 Y 0.1724 0.3276 0.0000
Pd1 Pd 0.1247 0.6247 0.5000
Pb1 Pb 0.0000 0.0000 0.5000
# **Formation enthalpy at 0 K**: -899.7 meV/atom


(6)
# YbPd2Pb r²SCAN optimized geometry
data_YbPd2Pb
_symmetry_space_group_name_H-M 'F m -3 m'
_symmetry_Int_Tables_number 225
_symmetry_space_group_name_Hall '-F 4 2 3'
_cell_length_a 6.7699
_cell_length_b 6.7699
_cell_length_c 6.7699
_cell_angle_alpha 90.00
_cell_angle_beta 90.00
_cell_angle_gamma 90.00
loop_
_atom_site_label
_atom_site_type_symbol
_atom_site_fract_x
_atom_site_fract_y
_atom_site_fract_z
Yb1 Yb 0.0000 0.0000 0.0000
Pd1 Pd 0.2500 0.2500 0.2500
Pb1 Pb 0.0000 0.0000 0.5000
# **Formation enthalpy at 0 K**: -755.7 meV/atom


(7)
# PmRh2Pb r²SCAN optimized geometry
data_PmRh2Pb
_symmetry_space_group_name_H-M 'F m -3 m'
_symmetry_Int_Tables_number 225
_symmetry_space_group_name_Hall '-F 4 2 3'
_cell_length_a 6.7956
_cell_length_b 6.7956
_cell_length_c 6.7956
_cell_angle_alpha 90.00
_cell_angle_beta 90.00
_cell_angle_gamma 90.00
loop_
_atom_site_label
_atom_site_type_symbol
_atom_site_fract_x
_atom_site_fract_y
_atom_site_fract_z
Pm1 Pm 0.0000 0.0000 0.0000
Rh1 Rh 0.2500 0.2500 0.2500
Pb1 Pb 0.0000 0.0000 0.5000
# **Formation enthalpy at 0 K**: -533.0 meV/atom


(8)
# Pm2ZnPb r²SCAN optimized geometry
data_Pm2ZnPb
_symmetry_space_group_name_H-M 'F m -3 m'
_symmetry_Int_Tables_number 225
_symmetry_space_group_name_Hall '-F 4 2 3'
_cell_length_a 7.5665
_cell_length_b 7.5665
_cell_length_c 7.5665
_cell_angle_alpha 90.00
_cell_angle_beta 90.00
_cell_angle_gamma 90.00
loop_
_atom_site_label
_atom_site_type_symbol
_atom_site_fract_x
_atom_site_fract_y
_atom_site_fract_z
Pm1 Pm 0.2500 0.2500 0.2500
Zn1 Zn 0.0000 0.0000 0.0000
Pb1 Pb 0.0000 0.0000 0.5000
# **Formation enthalpy at 0 K**: -496.6 meV/atom